Material: Ca2Bi3O8
Method: DFT, PBE
State: optimized geometry

a b c (Å): 6.8209 6.8209 5.8128
angles (deg): 71.60 71.60 59.81
Last column: nearest neighbours and their distance in Å.
Sites, in units of the cell vectors:
1 Bi 0.2626 0.7374 0.0000  6 O 2.19-2.30
2 Bi 0.0000 0.0000 0.5000  6 O 2.38-2.41
3 Bi 0.7374 0.2626 0.0000  6 O 2.19-2.30
4 O 0.6041 0.6041 0.0863  2 Bi 2.20, 1 Ca 2.43
5 O 0.3545 0.8871 0.6135  2 Bi 2.19-2.38, 1 Ca 2.37
6 O 0.6455 0.1129 0.3865  2 Bi 2.19-2.38, 1 Ca 2.37
7 O 0.1086 0.1086 0.0588  3 Bi 2.30-2.41, 1 Ca 2.52
8 O 0.8914 0.8914 0.9412  3 Bi 2.30-2.41, 1 Ca 2.52
9 O 0.1129 0.6455 0.3865  2 Bi 2.19-2.38, 1 Ca 2.37
10 O 0.3959 0.3959 0.9137  2 Bi 2.20, 1 Ca 2.43
11 O 0.8871 0.3545 0.6135  2 Bi 2.19-2.38, 1 Ca 2.37
12 Ca 0.2792 0.2792 0.6444  6 O 2.37-2.52
13 Ca 0.7208 0.7208 0.3556  6 O 2.37-2.52

Crystal system ... monoclinic



Material: Cu2IO8
Method: DFT, PBE
State: optimized geometry

a b c (Å): 11.6881 5.4503 6.3057
angles (deg): 90.00 123.23 90.00
Last column: nearest neighbours and their distance in Å.
Sites, in units of the cell vectors:
1 O 0.6773 0.7981 0.4959  1 Cu 1.88, 1 I 1.88
2 O 0.0074 0.3330 0.5612  1 Cu 1.77
3 O 0.9926 0.8330 0.4388  1 Cu 1.77
4 O 0.7600 0.6957 0.9869  1 I 1.86, 1 Cu 2.03
5 O 0.5605 0.3936 0.5711  2 Cu 1.87-1.91
6 O 0.4111 0.7866 0.9380  1 O 1.24
7 O 0.2400 0.1957 0.0131  1 I 1.86, 1 Cu 2.03
8 O 0.5889 0.2866 0.0620  1 O 1.24
9 O 0.0557 0.1274 0.1324  1 I 1.90, 1 Cu 1.94
10 O 0.4395 0.8936 0.4289  2 Cu 1.87-1.91
11 O 0.7862 0.1682 0.8502  2 Cu 1.91-1.93, 1 I 2.11
12 O 0.3227 0.2981 0.5041  1 Cu 1.88, 1 I 1.88
13 O 0.2138 0.6682 0.1498  2 Cu 1.91-1.93, 1 I 2.11
14 O 0.6948 0.2333 0.2660  1 O 1.24
15 O 0.9443 0.6274 0.8676  1 I 1.90, 1 Cu 1.94
16 O 0.3052 0.7333 0.7340  1 O 1.24
17 I 0.2404 0.0353 0.2740  3 O 1.86-1.90
18 I 0.7596 0.5353 0.7260  3 O 1.86-1.90
19 Cu 0.9096 0.9537 0.1278  3 O 1.77-1.94
20 Cu 0.3920 0.5541 0.4058  4 O 1.87-1.91
21 Cu 0.0904 0.4537 0.8722  3 O 1.77-1.94
22 Cu 0.6080 0.0541 0.5942  4 O 1.87-1.91

Crystal system ... monoclinic



Per-record energy of formation from the pure elements, eV/atom: -2.030, -0.174
Per-record ΔE to the lowest computed polymorph, eV per atom: 0.000, 0.144